LaCuSeO, optimized geometry, DFT GGA-PBE; energy with MP2020 corrections = -52.53 eV per cell; energy of formation = -2.20 eV per atom; magnetic moment = 0.000 μB per formula unit; E_tot = -25.577 eV per formula unit; space-group type = No. 129
1.0
4.0695 0.0000 0.0000
0.0000 4.0695 0.0000
0.0000 0.0000 8.8245
La Cu Se O
2 2 2 2
Cartesian
0.0000 2.0348 7.5889
2.0348 0.0000 1.2356
2.0348 2.0348 4.4123
0.0000 0.0000 4.4123
0.0000 2.0348 2.9191
2.0348 0.0000 5.9054
2.0348 2.0348 0.0000
0.0000 0.0000 0.0000

La4Cu3SeO12, optimized geometry, DFT GGA-PBE; energy with MP2020 corrections = -142.96 eV per cell; energy of formation = -2.40 eV per atom; magnetic moment = 0.005 μB per formula unit; E_tot = -134.721 eV per formula unit; space-group type = No. 229
1.0
1.4446 -2.9468 5.9308
-3.1795 5.8816 1.1146
-4.0090 -4.0823 -3.6342
La Cu Se O
4 3 1 12
Cartesian
-2.8719 -0.5738 1.7056
-1.5897 2.9408 0.5573
0.7223 -1.4734 2.9654
-2.0045 -2.0412 -1.8171
-0.8674 1.4674 3.5227
-3.5942 0.8997 -1.2598
-1.2822 -3.5146 1.1483
0.0000 0.0000 0.0000
-4.2353 -0.8576 -0.6857
-0.4047 0.6847 1.6437
-5.5114 1.3795 -1.9318
-1.6771 0.4198 -0.5878
-0.5983 -1.6399 0.5358
-1.3301 2.2501 5.4017
-1.9661 -5.3893 1.7608
-1.5086 -0.2899 4.0968
-2.6646 1.9172 2.8928
-3.0793 -3.0648 0.5184
-1.7159 -2.7809 2.9096
-4.0279 1.6334 0.5015

SrLaCuO4, optimized geometry, DFT GGA-PBE; energy with MP2020 corrections = -48.95 eV per cell; energy of formation = -2.63 eV per atom; magnetic moment = 0.001 μB per formula unit; E_tot = -46.202 eV per formula unit; space-group type = No. 107
1.0
-1.9349 1.9349 6.2835
1.9349 -1.9349 6.2835
1.9349 1.9349 -6.2835
Sr La Cu O
1 1 1 4
Cartesian
0.0000 0.0000 8.0380
0.0000 0.0000 4.5270
0.0000 0.0000 0.0241
0.0000 1.9349 6.2136
1.9349 0.0000 6.2136
0.0000 0.0000 10.4996
0.0000 0.0000 2.1848

SrLaTlCuO5, optimized geometry, DFT GGA-PBE; energy with MP2020 corrections = -58.45 eV per cell; energy of formation = -2.29 eV per atom; magnetic moment = 0.003 μB per formula unit; E_tot = -55.011 eV per formula unit; space-group type = No. 99
1.0
3.8083 0.0000 0.0000
0.0000 3.8083 0.0000
0.0000 0.0000 8.9402
Sr La Tl Cu O
1 1 1 1 5
Cartesian
1.9042 1.9042 7.0061
1.9042 1.9042 1.7605
0.0000 0.0000 4.4401
0.0000 0.0000 8.8642
0.0000 0.0000 6.5306
0.0000 0.0000 2.3429
0.0000 1.9042 0.0912
1.9042 0.0000 0.0912
1.9042 1.9042 4.2766

Sr3La21Zn2Cu10O48, optimized geometry, DFT GGA-PBE; energy with MP2020 corrections = -636.18 eV per cell; energy of formation = -2.93 eV per atom; magnetic moment = 1.240 μB per formula unit; E_tot = -603.200 eV per formula unit; space-group type = No. 6
1.0
-3.0242 -2.0330 -3.9417
-1.9100 -3.8716 3.4622
-29.5074 23.6842 10.4233
Sr La Zn Cu O
3 21 2 10 48
Cartesian
-17.0654 10.9786 7.4306
-7.2625 3.1112 3.9673
-3.8978 -1.8147 0.2711
-26.9736 18.8868 10.9537
-28.2058 22.5574 10.0058
-23.5247 13.8763 7.2365
-24.7437 17.5476 6.2783
-29.3980 16.0460 10.6236
-30.6451 19.7399 9.6752
-18.2599 14.5556 6.5022
-22.9244 13.0863 10.8387
-24.1557 16.7588 9.8892
-13.6811 5.9786 3.7577
-14.8999 9.6611 2.7934
-19.4625 8.0963 7.1010
-20.7044 11.7299 6.1798
-8.4560 6.7074 3.0282
-13.0702 5.1662 7.3632
-14.3097 8.8713 6.4032
-5.0789 1.7728 -0.6730
-9.6592 0.2107 3.6469
-10.8716 3.8652 2.6922
-3.2757 -2.6729 3.8918
-4.5079 0.9832 2.9515
-26.5491 15.9129 12.1618
-21.1069 14.6943 4.9596
-27.0729 16.7939 8.4540
-16.6572 7.9873 8.6602
-20.5956 13.8409 8.6628
-17.1898 8.8806 4.9529
-10.7500 5.9324 5.1880
-3.4781 -4.8230 1.5008
-7.3619 0.9872 1.4838
-13.2616 3.0106 4.9666
-0.9995 -1.8975 1.7455
-6.8595 0.1167 5.2025
-31.5515 20.1689 12.0032
-28.1449 17.4608 12.5877
-28.5137 20.4941 11.3062
-28.1303 15.2333 8.2790
-27.4614 17.3269 6.6804
-33.0852 19.1378 10.0041
-24.7877 12.5608 8.8841
-25.0773 15.5609 7.5589
-29.0440 18.0242 9.3317
-29.3022 20.9860 8.0023
-21.7420 12.3354 8.5197
-21.0692 14.4383 6.9221
-26.6483 16.2295 10.2105
-25.9748 18.3262 8.6180
-18.3876 9.5411 9.1864
-18.7439 12.7035 7.8287
-22.6269 15.0977 9.5730
-22.9246 18.1096 8.2480
-18.2971 7.3034 4.8173
-17.5094 9.4174 3.1302
-23.2777 11.3030 6.5181
-22.6075 13.4041 4.9170
-14.9451 4.6664 5.4042
-15.2732 7.6221 4.1315
-19.1833 10.1080 5.8493
-19.5319 13.1724 4.5362
-11.9244 4.3888 5.0439
-11.1965 6.5228 3.3858
-16.8090 8.3038 6.7568
-16.0276 10.4136 5.0615
-8.5828 1.6532 5.7323
-9.0087 4.8101 4.4308
-12.6927 7.1923 6.0286
-13.0166 10.1475 4.7529
-8.5119 -0.5830 1.3520
-7.7097 1.5461 -0.3505
-13.4253 3.3798 3.0876
-12.6982 5.5133 1.4285
-5.1684 -3.3495 2.0376
-5.6512 -0.1631 0.7646
-9.2871 2.2312 2.3192
-9.6391 5.2034 1.0564
-1.2523 -1.4123 -0.1015
-7.0028 0.4314 3.3189
-6.2098 2.5544 1.6044
-2.9151 -0.6883 2.5915
-3.2084 2.2857 1.2827
-2.7949 -2.4494 -2.1122

La4Cu3TeO12, optimized geometry, DFT GGA-PBE; energy with MP2020 corrections = -142.72 eV per cell; energy of formation = -2.41 eV per atom; magnetic moment = 0.242 μB per formula unit; E_tot = -134.473 eV per formula unit; space-group type = No. 229
1.0
-3.9764 3.9764 3.9764
3.9764 -3.9764 3.9764
3.9764 3.9764 -3.9764
La Cu Te O
4 3 1 12
Cartesian
1.9882 -1.9882 1.9882
-1.9882 1.9882 1.9882
1.9882 1.9882 -1.9882
1.9882 1.9882 1.9882
0.0000 3.9764 0.0000
3.9764 0.0000 0.0000
0.0000 0.0000 3.9764
0.0000 0.0000 0.0000
3.9764 0.0000 1.9882
0.0000 6.0299 0.0000
6.0299 0.0000 0.0000
1.9229 0.0000 0.0000
0.0000 0.0000 1.9229
0.0000 1.9229 0.0000
0.0000 0.0000 6.0299
0.0000 3.9764 1.9882
1.9882 3.9764 0.0000
1.9882 0.0000 3.9764
3.9764 1.9882 0.0000
0.0000 1.9882 3.9764